## NaMgF3 (PBE-GGA)

Data for a relaxed structure of NaMgF3.

```
NaMgF3
1.0
5.425 0.000 0.000
0.000 5.574 0.000
0.000 0.000 7.768
Mg Na F
4 4 12
direct
0.000 0.500 0.000
0.500 0.000 0.500
0.000 0.500 0.500
0.500 0.000 0.000
0.988 0.048 0.250
0.512 0.548 0.250
0.488 0.452 0.750
0.012 0.952 0.750
0.298 0.705 0.952
0.202 0.205 0.548
0.702 0.295 0.452
0.408 0.970 0.250
0.908 0.530 0.750
0.592 0.030 0.750
0.702 0.295 0.048
0.202 0.205 0.952
0.092 0.470 0.250
0.798 0.795 0.048
0.798 0.795 0.452
0.298 0.705 0.548
```

- Formation energy: -17.49 eV/f.u.
- Calculated volume: 11.74 Å³/atom
- VASP energy: -4.9542 eV/atom